<A>
First-principles (PBE+U) data for an optimized crystal structure of MnC2O6, as listed in the Materials Project.

abc: 7.422 7.527 8.931
angles: 99.87 90.00 90.00
Fractional positions:
Mn 0.500 0.000 0.500
Mn 0.000 0.000 0.000
Mn 0.000 0.500 0.500
Mn 0.500 0.500 0.000
C 0.656 0.829 0.179
C 0.156 0.171 0.321
C 0.344 0.171 0.821
C 0.844 0.829 0.679
C 0.237 0.677 0.006
C 0.737 0.323 0.494
C 0.763 0.323 0.994
C 0.263 0.677 0.506
O 0.616 0.950 0.295
O 0.116 0.050 0.205
O 0.384 0.050 0.705
O 0.884 0.950 0.795
O 0.752 0.872 0.073
O 0.252 0.128 0.427
O 0.248 0.128 0.927
O 0.748 0.872 0.573
O 0.255 0.548 0.085
O 0.755 0.452 0.415
O 0.745 0.452 0.915
O 0.245 0.548 0.585
O 0.086 0.755 0.999
O 0.586 0.245 0.501
O 0.914 0.245 0.001
O 0.414 0.755 0.499
O 0.118 0.708 0.432
O 0.618 0.292 0.068
O 0.882 0.292 0.568
O 0.382 0.708 0.932
O 0.599 0.664 0.173
O 0.099 0.336 0.327
O 0.401 0.336 0.827
O 0.901 0.664 0.673

Computed properties:
The crystal system is monoclinic. The space group is P2_1/c. For the theoretical density, the calculation gives 2.4 Mg/m³.

---

<B>
First-principles (PBE+U) data for an optimized crystal structure of MnC2O6, as listed in the Materials Project.

abc: 7.380 5.273 6.849
angles: 65.99 90.00 90.00
Fractional positions:
Mn 0.000 0.000 0.000
Mn 0.500 0.000 0.500
C 0.265 0.118 0.139
C 0.765 0.882 0.361
C 0.235 0.118 0.639
C 0.735 0.882 0.861
O 0.250 0.890 0.109
O 0.124 0.279 0.081
O 0.407 0.187 0.213
O 0.907 0.813 0.287
O 0.624 0.721 0.419
O 0.750 0.110 0.391
O 0.250 0.890 0.609
O 0.376 0.279 0.581
O 0.093 0.187 0.713
O 0.593 0.813 0.787
O 0.876 0.721 0.919
O 0.750 0.110 0.891

Computed properties:
The crystal system is monoclinic. The space group is P2_1/c. For the theoretical density, the calculation gives 2.4 Mg/m³.

---

<C>
First-principles (PBE+U) data for an optimized crystal structure of MnC2O6, as listed in the Materials Project.

abc: 6.349 6.349 11.676
angles: 67.52 67.52 65.32
Fractional positions:
Mn 0.171 0.829 0.250
Mn 0.829 0.171 0.750
C 0.587 0.242 0.422
C 0.758 0.413 0.078
C 0.413 0.758 0.578
C 0.242 0.587 0.922
O 0.418 0.415 0.422
O 0.585 0.582 0.078
O 0.582 0.585 0.578
O 0.415 0.418 0.922
O 0.757 0.068 0.422
O 0.932 0.243 0.078
O 0.243 0.932 0.578
O 0.068 0.757 0.922
O 0.021 0.664 0.246
O 0.336 0.979 0.254
O 0.979 0.336 0.754
O 0.664 0.021 0.746

Computed properties:
The crystal system is monoclinic. The space group is C2/c. For the theoretical density, the calculation gives 1.5 Mg/m³.

---

<D>
First-principles (PBE+U) data for an optimized crystal structure of MnC2O6, as listed in the Materials Project.

abc: 5.689 5.841 16.443
angles: 90.00 90.00 90.00
Fractional positions:
Mn 0.418 0.837 0.894
Mn 0.918 0.663 0.106
Mn 0.582 0.337 0.606
Mn 0.082 0.163 0.394
C 0.946 0.860 0.850
C 0.446 0.640 0.150
C 0.054 0.360 0.650
C 0.554 0.140 0.350
C 0.091 0.887 0.771
C 0.591 0.613 0.229
C 0.909 0.387 0.729
C 0.409 0.113 0.271
O 0.066 0.833 0.914
O 0.566 0.667 0.086
O 0.934 0.333 0.586
O 0.434 0.167 0.414
O 0.319 0.900 0.788
O 0.819 0.600 0.212
O 0.681 0.400 0.712
O 0.181 0.100 0.288
O 0.009 0.894 0.703
O 0.509 0.606 0.297
O 0.991 0.394 0.797
O 0.491 0.106 0.203
O 0.726 0.871 0.842
O 0.226 0.629 0.158
O 0.274 0.371 0.658
O 0.774 0.129 0.342
O 0.446 0.573 0.918
O 0.946 0.927 0.082
O 0.554 0.073 0.582
O 0.054 0.427 0.418
O 0.454 0.028 0.963
O 0.954 0.472 0.037
O 0.546 0.528 0.537
O 0.046 0.972 0.463

Computed properties:
The crystal system is orthorhombic. The space group is P2_12_12_1. For the theoretical density, the calculation gives 2.1 Mg/m³.

---

Tell me which of them is the least stable. Sure, it is <D>.

---

<A>
First-principles (PBE+U) data for an optimized crystal structure of MnC2O6, as listed in the Materials Project.

abc: 5.421 6.303 8.694
angles: 81.91 71.83 64.53
Fractional positions:
Mn 0.673 0.250 0.750
Mn 0.327 0.750 0.250
C 0.126 0.250 0.843
C 0.219 0.250 0.657
C 0.874 0.750 0.157
C 0.781 0.750 0.343
O 0.298 0.250 0.914
O 0.462 0.250 0.586
O 0.702 0.750 0.086
O 0.538 0.750 0.414
O 0.884 0.250 0.914
O 0.048 0.250 0.586
O 0.116 0.750 0.086
O 0.952 0.750 0.414
O 0.826 0.947 0.751
O 0.524 0.553 0.749
O 0.174 0.053 0.249
O 0.476 0.447 0.251

Computed properties:
The crystal system is monoclinic. The space group is C2/c. For the theoretical density, the calculation gives 2.3 Mg/m³.

---

<B>
First-principles (PBE+U) data for an optimized crystal structure of MnC2O6, as listed in the Materials Project.

abc: 5.279 6.138 13.684
angles: 90.00 90.00 90.00
Fractional positions:
Mn 0.941 0.319 0.831
Mn 0.059 0.819 0.669
Mn 0.441 0.181 0.169
Mn 0.559 0.681 0.331
C 0.907 0.797 0.882
C 0.093 0.297 0.618
C 0.407 0.703 0.118
C 0.593 0.203 0.382
C 0.873 0.652 0.975
C 0.127 0.152 0.525
C 0.373 0.848 0.025
C 0.627 0.348 0.475
O 0.956 0.687 0.802
O 0.044 0.187 0.698
O 0.456 0.813 0.198
O 0.544 0.313 0.302
O 0.861 0.446 0.960
O 0.139 0.946 0.540
O 0.361 0.054 0.040
O 0.639 0.554 0.460
O 0.863 0.739 0.057
O 0.137 0.239 0.443
O 0.363 0.761 0.943
O 0.637 0.261 0.557
O 0.884 0.997 0.887
O 0.116 0.497 0.613
O 0.384 0.503 0.113
O 0.616 0.003 0.387
O 0.363 0.330 0.864
O 0.637 0.830 0.636
O 0.863 0.170 0.136
O 0.137 0.670 0.364
O 0.524 0.351 0.795
O 0.476 0.851 0.705
O 0.024 0.149 0.205
O 0.976 0.649 0.295

Computed properties:
The crystal system is orthorhombic. The space group is P2_12_12_1. For the theoretical density, the calculation gives 2.6 Mg/m³.

---

<C>
First-principles (PBE+U) data for an optimized crystal structure of MnC2O6, as listed in the Materials Project.

abc: 4.669 11.277 4.669
angles: 78.05 120.00 90.00
Fractional positions:
Mn 0.750 0.750 0.500
Mn 0.250 0.250 0.500
C 0.883 0.350 0.766
C 0.383 0.850 0.766
C 0.617 0.150 0.234
C 0.117 0.650 0.234
O 0.910 0.148 0.268
O 0.410 0.648 0.268
O 0.141 0.352 0.057
O 0.641 0.852 0.057
O 0.916 0.352 0.506
O 0.416 0.852 0.506
O 0.584 0.148 0.494
O 0.084 0.648 0.494
O 0.359 0.148 0.943
O 0.859 0.648 0.943
O 0.590 0.352 0.732
O 0.090 0.852 0.732

Computed properties:
For the theoretical density, the calculation gives 2.8 Mg/m³.

---

Tell me which of them is the least stable. Sure, it is <B>.

---

<A>
First-principles (PBE+U) data for an optimized crystal structure of MnC5O5, as listed in the Materials Project.

abc: 6.535 12.000 12.488
angles: 61.73 74.83 74.20
Fractional positions:
Mn 0.380 0.027 0.726
Mn 0.133 0.473 0.774
Mn 0.620 0.973 0.274
Mn 0.867 0.527 0.226
C 0.569 0.889 0.705
C 0.163 0.611 0.795
C 0.431 0.111 0.295
C 0.837 0.389 0.205
C 0.163 0.035 0.649
C 0.847 0.465 0.851
C 0.837 0.965 0.351
C 0.153 0.535 0.149
C 0.543 0.058 0.808
C 0.409 0.442 0.692
C 0.457 0.942 0.192
C 0.591 0.558 0.308
C 0.227 0.930 0.877
C 0.034 0.570 0.623
C 0.773 0.070 0.123
C 0.966 0.430 0.377
C 0.487 0.157 0.581
C 0.224 0.343 0.919
C 0.513 0.843 0.419
C 0.776 0.657 0.081
O 0.687 0.803 0.693
O 0.183 0.697 0.807
O 0.313 0.197 0.307
O 0.817 0.303 0.193
O 0.024 0.041 0.604
O 0.669 0.459 0.896
O 0.976 0.959 0.396
O 0.331 0.541 0.104
O 0.641 0.080 0.858
O 0.580 0.420 0.642
O 0.359 0.920 0.142
O 0.420 0.580 0.358
O 0.130 0.871 0.970
O 0.970 0.629 0.530
O 0.870 0.129 0.030
O 0.030 0.371 0.470
O 0.553 0.239 0.491
O 0.283 0.261 0.009
O 0.447 0.761 0.509
O 0.717 0.739 0.991

Computed properties:
The crystal system is monoclinic. The space group is C2/c. For the theoretical density, the calculation gives 1.6 Mg/m³.

---

<B>
First-principles (PBE+U) data for an optimized crystal structure of MnC5O5, as listed in the Materials Project.

abc: 9.741 9.741 14.564
angles: 56.73 56.73 44.24
Fractional positions:
Mn 0.301 0.837 0.778
Mn 0.163 0.699 0.722
Mn 0.699 0.163 0.222
Mn 0.837 0.301 0.278
C 0.393 0.916 0.807
C 0.084 0.607 0.693
C 0.607 0.084 0.193
C 0.916 0.393 0.307
C 0.307 0.642 0.917
C 0.358 0.693 0.583
C 0.693 0.358 0.083
C 0.642 0.307 0.417
C 0.271 0.023 0.636
C 0.977 0.729 0.864
C 0.729 0.977 0.364
C 0.023 0.271 0.136
C 0.030 0.024 0.843
C 0.976 0.970 0.657
C 0.970 0.976 0.157
C 0.024 0.030 0.343
C 0.564 0.636 0.713
C 0.364 0.436 0.787
C 0.436 0.364 0.287
C 0.636 0.564 0.213
O 0.451 0.967 0.825
O 0.033 0.549 0.675
O 0.549 0.033 0.175
O 0.967 0.451 0.325
O 0.308 0.522 0.004
O 0.478 0.692 0.496
O 0.692 0.478 0.996
O 0.522 0.308 0.504
O 0.250 0.142 0.548
O 0.858 0.750 0.952
O 0.750 0.858 0.452
O 0.142 0.250 0.048
O 0.862 0.138 0.887
O 0.862 0.138 0.613
O 0.138 0.862 0.113
O 0.138 0.862 0.387
O 0.727 0.512 0.673
O 0.488 0.273 0.827
O 0.273 0.488 0.327
O 0.512 0.727 0.173

Computed properties:
The crystal system is monoclinic. The space group is C2/c. For the theoretical density, the calculation gives 1.7 Mg/m³.

---

Tell me which of them is the least stable. Sure, it is <A>.

---

<A>
First-principles (PBE+U) data for an optimized crystal structure of MnC6O6, as listed in the Materials Project.

abc: 8.807 8.807 19.956
angles: 88.95 88.95 116.06
Fractional positions:
Mn 0.500 0.000 0.500
Mn 0.000 0.500 0.000
C 0.484 0.108 0.745
C 0.516 0.892 0.255
C 0.729 0.028 0.499
C 0.892 0.516 0.755
C 0.271 0.972 0.501
C 0.108 0.484 0.245
C 0.107 0.894 0.500
C 0.972 0.271 0.001
C 0.893 0.106 0.500
C 0.028 0.729 0.999
C 0.106 0.893 0.000
C 0.894 0.107 0.000
O 0.470 0.662 0.748
O 0.530 0.338 0.252
O 0.957 0.815 0.500
O 0.338 0.530 0.752
O 0.043 0.185 0.500
O 0.662 0.470 0.248
O 0.375 0.042 0.783
O 0.185 0.043 0.000
O 0.625 0.958 0.217
O 0.815 0.957 0.000
O 0.958 0.625 0.717
O 0.042 0.375 0.283

Computed properties:
The crystal system is monoclinic. The space group is C2/c. For the theoretical density, the calculation gives 0.5 Mg/m³.

---

<B>
First-principles (PBE+U) data for an optimized crystal structure of MnC6O6, as listed in the Materials Project.

abc: 9.419 6.979 13.226
angles: 75.95 68.92 47.56
Fractional positions:
Mn 0.000 0.000 0.000
C 0.687 0.000 0.504
C 0.313 0.000 0.496
C 0.684 0.231 0.003
C 0.316 0.769 0.997
C 0.915 0.769 0.003
C 0.085 0.231 0.997
O 0.572 0.229 0.504
O 0.428 0.771 0.496
O 0.734 0.000 0.998
O 0.199 0.229 0.496
O 0.266 0.000 0.002
O 0.801 0.771 0.504

Computed properties:
The crystal system is monoclinic. The space group is C2/m. For the theoretical density, the calculation gives 0.6 Mg/m³.

---

Tell me which of them is the least stable. Sure, it is <B>.